Below is a geometry-optimized SmMn5Co7 structure, with properties calculated at the PBE-GGA level.

- magnetization (μB per cell) = 14.595

```
13
Lattice="-0.1414 0.4462 6.3311 5.6076 2.8352 -0.9044 -6.1265 1.2809 -1.0618" Properties=species:S:1:pos:R:3 pbc="T T T"
Sm -6.2545 1.7234 5.2580
Mn -0.3210 2.2732 2.1919
Mn -0.0644 0.2370 3.1646
Mn 2.4004 3.9069 4.8936
Mn 2.6570 1.8707 5.8663
Mn -1.6898 2.4522 0.2193
Co -4.0248 1.1090 3.3836
Co -2.2557 0.6216 1.8964
Co -4.1524 2.4551 0.8754
Co -2.6097 3.3813 2.4069
Co 1.0174 2.1134 4.1557
Co -1.6712 1.7506 4.1055
Co 0.9905 2.8173 0.2765
```

Below is a geometry-optimized LiSi3BiO8 structure, with properties calculated at the PBE-GGA level.

- energy relative to the lowest polymorph listed for this composition (eV per atom) = 0.023
- magnetization (μB per cell) = 0.000

```
26
Lattice="-5.4107 -4.7119 0.0586 4.8257 -3.6953 -4.3693 2.4672 0.6826 7.3343" Properties=species:S:1:pos:R:3 pbc="T T T"
Li -1.3886 -3.9719 5.3745
Li 3.0476 -3.1592 3.5353
Si -1.1619 -4.5046 -0.4942
Si -1.3159 -3.4305 2.3763
Si 0.3039 -6.5458 -2.2031
Si 3.3334 -3.9768 -2.2546
Si 1.4925 -1.0480 5.1103
Si 3.1456 -4.3187 0.6405
Bi 1.5911 -1.3351 1.4101
Bi 0.8697 -6.1023 2.3587
O -2.6660 -5.0826 -0.3946
O -2.9842 -3.4519 2.2462
O 1.5191 -2.5291 5.8787
O -0.8926 -1.8438 2.0799
O 4.8113 -3.2141 -2.2407
O -0.6467 -4.1814 1.0477
O -0.0417 -5.6614 -0.8914
O -0.6549 -4.1878 3.5930
O 2.5819 -3.7816 -0.8312
O 2.0605 -1.3899 3.5992
O 2.5854 -3.2058 1.6898
O 2.2877 0.0892 5.9761
O 2.5845 -5.8003 0.9528
O 2.3948 -5.1353 3.7428
O 4.7649 -4.2304 0.6279
O 4.9697 -2.8393 3.8062
```

Below is a geometry-optimized CaMg14Co structure, with properties calculated at the PBE-GGA level.

- energy relative to the lowest polymorph listed for this composition (eV per atom) = 0.017
- magnetization (μB per cell) = 0.025

```
16
Lattice="6.4022 0.0000 0.0000 -3.2011 5.5444 0.0000 0.0000 0.0000 10.1580" Properties=species:S:1:pos:R:3 pbc="T T T"
Ca 0.0000 1.8481 1.2698
Mg -1.5533 4.6476 1.2698
Mg -1.6344 4.6008 6.3488
Mg 3.2011 1.7936 1.2698
Mg 3.2011 1.8873 6.3488
Mg 1.5533 4.6476 1.2698
Mg 1.6344 4.6008 6.3488
Mg 1.5507 0.9528 4.0327
Mg 1.5507 0.9528 8.6648
Mg 0.0000 3.6388 4.0327
Mg 0.0000 3.6388 8.6648
Mg 4.8514 0.9528 4.0327
Mg 4.8514 0.9528 8.6648
Mg 3.2011 3.6963 3.7110
Mg 3.2011 3.6963 8.9865
Co 0.0000 1.8481 6.3488
```

Below is a geometry-optimized YAlCu structure, with properties calculated at the PBE-GGA level.

```
9
Lattice="1.3025 6.4986 -2.3009 -6.6206 -2.1495 0.8778 0.0722 1.3409 3.8281" Properties=species:S:1:pos:R:3 pbc="T T T"
Y -2.7040 -0.2192 2.2773
Y -3.0810 3.2196 1.0799
Y 0.5752 3.3601 0.9617
Al -5.0683 -1.6455 0.6720
Al -1.2469 1.0198 -0.3337
Al 0.9971 4.9749 -1.7614
Cu -3.9796 0.7332 -0.1818
Cu -1.3385 3.6159 -1.2414
Cu 0.0361 0.6705 1.9140
```

Below is a geometry-optimized GaPt3 structure, with properties calculated at the PBE-GGA level.

```
4
Lattice="-3.6512 1.3566 -0.6416 0.1825 -1.2737 -3.7320 -1.4895 -3.4815 1.1154" Properties=species:S:1:pos:R:3 pbc="T T T"
Ga 0.0000 0.0000 0.0000
Pt -0.6535 -2.3776 -1.3083
Pt -1.7344 0.0414 -2.1868
Pt -2.5704 -1.0625 0.2369
```

Below is a geometry-optimized Cr2SN2 structure, with properties calculated at the PBE-GGA level.

- magnetization (μB per cell) = 3.881

```
5
Lattice="3.2594 -0.0089 0.0028 -1.6374 2.8361 0.0000 0.0022 0.0012 6.1137" Properties=species:S:1:pos:R:3 pbc="T T T"
Cr 1.6335 0.9431 4.2640
Cr -0.0094 1.8853 1.8526
S 0.0000 0.0000 0.0000
N 1.6185 0.9345 2.2738
N 0.0056 1.8940 3.8427
```

Below is a geometry-optimized Bi4I2O5 structure, with properties calculated at the PBE-GGA level.

```
44
Lattice="-2.5361 1.3313 5.0575 -10.3444 -1.3690 -4.8269 -2.3207 -14.7708 2.7245" Properties=species:S:1:pos:R:3 pbc="T T T"
Bi -8.9748 -2.9020 -2.0577
Bi -6.2332 -11.9029 5.0263
Bi -9.0804 -4.2409 1.5867
Bi -6.1314 -10.5619 1.3896
Bi -10.0879 -13.8089 -0.1356
Bi -4.8232 -1.1518 2.5124
Bi -7.8106 -0.5738 0.4698
Bi -6.8026 -14.5433 1.3127
Bi -5.3314 -3.5311 -0.6660
Bi -9.4203 -11.5133 2.7247
Bi -5.4549 -4.7654 3.4169
Bi -9.6613 -10.0876 -0.6312
Bi -2.6372 -7.7483 2.3542
Bi -12.5390 -7.0732 0.5511
Bi -12.8951 -10.6623 1.2949
Bi -2.2641 -4.1682 1.5764
I -9.5688 -6.3975 -1.4205
I -5.6505 -8.4014 4.4117
I -9.5626 -8.0407 2.5173
I -5.7799 -6.6935 0.7196
I -12.1876 -3.5930 -0.1447
I -13.2659 -14.2390 2.2447
I -2.0408 -0.5141 0.9207
I -3.0221 -11.2110 3.1168
O -7.9405 -1.0531 -1.7746
O -7.4582 -13.6516 5.1235
O -7.0717 -3.7219 -2.5217
O -6.8954 -11.7343 3.0157
O -8.3319 -3.0229 -0.0040
O -5.6304 -12.4358 0.4886
O -7.3159 -3.7447 2.6868
O -8.1585 -10.9202 0.8132
O -6.9939 -0.6833 3.0461
O -9.2428 -13.5815 1.9739
O -5.6980 -1.2637 0.4885
O -10.5232 -13.0093 4.5007
O -13.4026 -8.5219 2.1126
O -2.9986 -5.6566 3.2356
O -12.1594 -9.1689 -0.3123
O -1.7977 -6.2926 0.7865
O -4.3848 -3.5371 1.9337
O -10.8007 -11.3784 0.8676
O -5.6295 -2.7848 4.5384
O -11.9794 -10.6609 3.3405
```

Below is a geometry-optimized MgMoW2Se4S2 structure, with properties calculated at the PBE-GGA level.

- energy relative to the lowest polymorph listed for this composition (eV per atom) = 0.007
- magnetization (μB per cell) = 0.023

```
10
Lattice="3.2737 0.0000 0.0000 -1.6368 2.8346 0.0040 0.0000 0.0449 37.5576" Properties=species:S:1:pos:R:3 pbc="T T T"
Mg 1.6368 2.8431 8.7041
Mo 0.0000 1.8918 4.0678
W 0.0000 1.9178 21.7257
W 1.6368 0.9620 13.3775
Se 1.6368 0.9500 2.3755
Se 1.6368 0.9754 20.0267
Se 1.6368 0.9434 5.7789
Se 1.6368 0.9702 23.4228
S 0.0000 1.9054 14.9162
S 0.0000 1.9094 11.8322
```

Below is a geometry-optimized Nd3Co structure, with properties calculated at the PBE-GGA level.

```
16
Lattice="6.4024 0.0000 0.0000 0.0000 7.0927 0.0000 0.0000 0.0000 9.8752" Properties=species:S:1:pos:R:3 pbc="T T T"
Nd 2.2958 3.8254 2.4688
Nd 0.9054 0.2791 2.4688
Nd 4.1067 3.2673 7.4064
Nd 5.4970 6.8136 7.4064
Nd 5.2740 4.7291 0.6936
Nd 4.3296 1.1828 4.2440
Nd 1.1284 2.3636 5.6312
Nd 2.0728 5.9099 9.1816
Nd 1.1284 2.3636 9.1816
Nd 2.0728 5.9099 5.6312
Nd 5.2740 4.7291 4.2440
Nd 4.3296 1.1828 0.6936
Co 3.5938 6.2703 2.4688
Co 6.0099 2.7240 2.4688
Co 2.8086 0.8224 7.4064
Co 0.3926 4.3687 7.4064
```

Below is a geometry-optimized CrN2 structure, with properties calculated at the PBE-GGA level.

- magnetization (μB per cell) = 0.001

```
6
Lattice="-1.9114 -4.2760 2.0041 1.7150 -3.9427 2.7327 -0.7949 0.5652 3.6979" Properties=species:S:1:pos:R:3 pbc="T T T"
Cr -0.8378 -2.3468 5.2430
Cr -0.1536 -5.3067 3.1917
N -0.1333 -1.1177 1.1748
N -0.8580 -6.5357 7.2599
N -0.3496 -3.0870 3.1518
N -0.6418 -4.5665 5.2829
```

Below is a geometry-optimized RbMg14Al structure, with properties calculated at the PBE-GGA level.

- energy relative to the lowest polymorph listed for this composition (eV per atom) = 0.006
- magnetization (μB per cell) = 0.000

```
16
Lattice="6.4953 0.0000 0.0000 -3.2476 5.6251 0.0000 0.0000 0.0000 10.7278" Properties=species:S:1:pos:R:3 pbc="T T T"
Rb 0.0000 1.8750 6.7049
Mg -1.6506 4.6721 1.3410
Mg -1.5850 4.7099 6.7049
Mg 3.2476 1.9059 1.3410
Mg 3.2476 1.8302 6.7049
Mg 1.6506 4.6721 1.3410
Mg 1.5850 4.7099 6.7049
Mg 1.6479 0.9236 3.8240
Mg 1.6479 0.9236 9.5858
Mg 0.0000 3.7779 3.8240
Mg 0.0000 3.7779 9.5858
Mg 4.8473 0.9236 3.8240
Mg 4.8473 0.9236 9.5858
Mg 3.2476 3.7500 4.0989
Mg 3.2476 3.7500 9.3108
Al 0.0000 1.8750 1.3410
```

Below is a geometry-optimized Na2GeO10 structure, with properties calculated at the PBE-GGA level.

- energy relative to the lowest polymorph listed for this composition (eV per atom) = 0.027
- magnetization (μB per cell) = 14.675

```
52
Lattice="19.0222 0.0000 0.0000 0.0000 5.2855 0.0000 0.0000 3.0108 8.2977" Properties=species:S:1:pos:R:3 pbc="T T T"
Na 4.3731 5.8369 5.8624
Na 13.8842 3.9648 6.5842
Na 14.6492 2.4594 2.4353
Na 5.1381 4.3315 1.7135
Na 7.6888 6.2493 4.0008
Na 17.1999 0.5416 0.1480
Na 11.3334 2.0470 4.2969
Na 1.8223 7.7546 8.1497
Ge 17.1043 5.8326 5.3737
Ge 7.5932 3.9691 7.0729
Ge 1.9179 2.4637 2.9241
Ge 11.4290 4.3272 1.2248
O 17.1273 2.4102 5.0420
O 7.6162 7.3915 7.4045
O 1.8949 5.8861 3.2557
O 11.4060 0.9048 0.8932
O 15.9100 5.0025 6.1777
O 6.3989 4.7992 6.2689
O 3.1122 3.2938 2.1200
O 12.6233 3.4971 2.0289
O 17.5695 5.3170 3.5382
O 8.0583 1.4739 0.6107
O 1.4528 2.9793 4.7596
O 10.9639 6.8223 7.6870
O 18.8095 5.8580 6.2780
O 9.2984 3.9437 6.1686
O 0.2127 2.4383 2.0197
O 9.7238 4.3526 2.1291
O 15.0401 6.6164 8.2660
O 5.5290 3.1853 4.1806
O 3.9821 1.6799 0.0317
O 13.4932 5.1110 4.1171
O 16.0269 2.7612 4.3609
O 6.5158 7.0404 8.0857
O 2.9953 5.5351 3.9368
O 12.5064 1.2558 0.2120
O 13.3056 6.3481 3.6325
O 3.7945 0.4428 0.5164
O 5.7166 1.9482 4.6652
O 15.2277 7.8534 7.7813
O 18.7155 6.7952 7.2512
O 9.2044 3.0065 5.1954
O 0.3067 1.5011 1.0465
O 9.8178 5.2898 3.1023
O 6.5619 3.6234 3.4249
O 16.0730 3.1675 0.7240
O 12.4603 4.6729 4.8729
O 2.9492 5.1288 7.5737
O 16.7742 5.8893 2.6396
O 7.2630 0.9016 1.5093
O 2.2481 2.4069 5.6581
O 11.7592 7.3947 6.7884
```

no.,calculated formation energy (meV per atom)
1,51
2,-2792
3,93
4,-457
5,-431
6,-479
7,-1426
8,-660
9,-63
10,95
11,146
12,-450